*i*
! MgMn6O6F6 | the Materials Project database | PBE with a Hubbard U | optimized geometry; values from VASP
&SYSTEM
  ibrav = 0, nat = 19, ntyp = 4
/
ATOMIC_SPECIES
Mg 24.30 Mg.upf
Mn 54.94 Mn.upf
O 16.00 O.upf
F 19.00 F.upf
ATOMIC_POSITIONS angstrom
Mg 0.000 0.000 0.000
Mn 0.014 1.610 3.065
Mn 0.014 2.431 11.641
Mn 0.017 2.329 7.396
Mn 1.552 2.650 0.024
Mn 1.568 0.062 9.572
Mn 1.568 4.538 5.164
O 0.001 1.812 1.008
O 0.000 2.478 13.677
O 0.017 0.040 4.228
O 0.016 0.868 8.658
O 0.017 3.749 6.104
O 1.566 1.528 11.029
F 0.016 4.301 10.644
F 1.551 -0.281 13.588
F 1.550 4.585 1.076
F 1.566 2.833 3.592
F 1.565 3.346 8.417
F 1.571 1.389 6.432
CELL_PARAMETERS angstrom
3.103 0.000 0.000
-0.001 5.310 0.000
-0.001 -1.007 14.656
! theoretical density: 3.9 Mg/m³

=====

*ii*
! MgMn6O6F6 | the Materials Project database | PBE with a Hubbard U | optimized geometry; values from VASP
&SYSTEM
  ibrav = 0, nat = 19, ntyp = 4
/
ATOMIC_SPECIES
Mg 24.30 Mg.upf
Mn 54.94 Mn.upf
O 16.00 O.upf
F 19.00 F.upf
ATOMIC_POSITIONS angstrom
Mg 0.000 0.000 0.000
Mn -1.138 0.039 7.234
Mn -0.459 0.031 11.423
Mn 1.106 1.611 5.027
Mn 2.623 1.577 0.000
Mn 1.865 1.611 9.441
Mn 3.430 0.031 3.045
O -0.361 1.614 6.255
O -0.480 0.003 13.464
O 0.447 1.607 10.770
O 2.524 1.607 3.699
O 3.450 0.003 1.004
O 3.331 1.614 8.214
F 0.119 0.037 3.915
F 0.728 1.576 1.067
F 0.894 0.036 8.546
F 2.076 0.036 5.923
F 2.242 1.576 13.402
F 2.851 0.037 10.554
CELL_PARAMETERS angstrom
5.246 0.000 0.000
0.000 3.150 0.000
-2.275 0.000 14.469
! theoretical density: 3.9 Mg/m³

=====

Which structure is the most stable? The one labeled *ii*.

=====

*i*
! Y2Cr3O9 | the Materials Project database | PBE with a Hubbard U | optimized geometry; values from VASP
&SYSTEM
  ibrav = 0, nat = 56, ntyp = 3
/
ATOMIC_SPECIES
Y 88.91 Y.upf
Cr 52.00 Cr.upf
O 16.00 O.upf
ATOMIC_POSITIONS angstrom
Y 0.000 0.000 0.000
Y -0.001 -0.010 10.931
Y 0.106 3.760 11.494
Y 0.154 3.813 6.101
Y 2.563 3.774 14.279
Y 2.638 3.799 3.323
Y 2.756 7.539 2.775
Y 2.779 7.510 8.144
Cr -0.012 5.691 13.923
Cr 0.005 1.805 13.925
Cr 0.079 1.894 3.048
Cr 0.067 5.670 3.049
Cr 0.082 5.585 8.503
Cr 0.122 1.921 8.504
Cr 2.662 1.927 0.355
Cr 2.675 5.602 0.355
Cr 2.669 5.653 11.213
Cr 2.683 1.877 11.207
Cr 2.710 5.740 5.749
Cr 2.758 1.859 5.729
O 0.428 0.010 14.010
O 0.504 7.514 3.159
O 0.605 -0.014 8.689
O 1.065 2.135 10.177
O 1.078 5.401 10.210
O 1.198 2.379 4.650
O 1.159 5.372 15.494
O 1.203 5.202 4.640
O 1.213 2.177 15.495
O 1.506 2.158 7.299
O 1.532 2.343 12.803
O 1.529 5.176 12.798
O 1.554 5.396 7.358
O 1.710 5.419 2.031
O 1.755 2.145 1.995
O 2.162 7.543 0.514
O 2.245 -0.005 11.338
O 2.277 7.509 5.877
O 3.120 3.835 0.215
O 3.112 3.758 11.086
O 3.233 3.790 5.582
O 3.664 1.635 4.109
O 3.685 5.915 4.064
O 3.823 1.400 9.619
O 3.819 6.123 9.628
O 3.825 1.604 15.125
O 3.823 5.914 15.079
O 4.137 1.577 6.954
O 4.193 6.136 1.453
O 4.213 1.407 1.461
O 4.192 5.930 6.905
O 4.287 1.620 12.218
O 4.279 5.900 12.234
O 4.755 3.750 13.737
O 4.892 3.823 2.938
O 4.928 3.795 8.409
CELL_PARAMETERS angstrom
5.254 0.000 0.000
-0.014 7.552 0.000
-0.047 -0.033 16.325
! theoretical density: 4.9 Mg/m³

=====

*ii*
! Y2Cr3O9 | the Materials Project database | PBE with a Hubbard U | optimized geometry; values from VASP
&SYSTEM
  ibrav = 0, nat = 14, ntyp = 3
/
ATOMIC_SPECIES
Y 88.91 Y.upf
Cr 52.00 Cr.upf
O 16.00 O.upf
ATOMIC_POSITIONS angstrom
Y 0.000 0.000 2.178
Y 0.000 0.000 9.357
Cr 1.888 1.888 0.000
Cr 1.888 1.888 4.008
Cr 1.888 1.888 7.526
O 0.000 1.888 0.000
O 0.000 1.888 3.621
O 0.000 1.888 7.914
O 1.888 0.000 0.000
O 1.888 0.000 3.621
O 1.888 0.000 7.914
O 1.888 1.888 1.926
O 1.888 1.888 5.767
O 1.888 1.888 9.608
CELL_PARAMETERS angstrom
3.775 0.000 0.000
0.000 3.775 0.000
0.000 0.000 11.535
! theoretical density: 4.8 Mg/m³

=====

Which structure is the most stable? The one labeled *i*.

=====

*i*
! LiFe2OF5 | the Materials Project database | PBE with a Hubbard U | optimized geometry; values from VASP
&SYSTEM
  ibrav = 0, nat = 36, ntyp = 4
/
ATOMIC_SPECIES
Li 6.94 Li.upf
Fe 55.84 Fe.upf
O 16.00 O.upf
F 19.00 F.upf
ATOMIC_POSITIONS angstrom
Li 0.000 0.022 0.000
Li -2.233 5.091 8.565
Li 2.413 2.482 4.616
Li 0.180 2.630 13.181
Fe -2.288 2.421 10.314
Fe -0.055 2.692 1.749
Fe 0.220 0.034 5.520
Fe -2.013 5.078 14.085
Fe -2.118 2.553 16.009
Fe 0.115 2.559 7.445
Fe 0.157 0.008 11.394
Fe 2.390 5.104 2.829
O 1.384 0.739 4.316
O -0.849 4.373 12.881
O 1.378 0.884 10.190
O 3.611 4.228 1.625
F -3.374 0.874 12.991
F -1.142 4.238 4.426
F -0.913 1.675 5.962
F -3.146 3.437 14.527
F -3.124 0.907 15.773
F -0.891 4.205 7.208
F -1.107 1.749 8.724
F 1.126 3.364 0.159
F 1.149 0.966 1.528
F -1.084 4.146 10.093
F -0.919 1.736 11.577
F 1.314 3.377 3.012
F -1.057 1.704 14.539
F 1.176 3.408 5.974
F 1.162 0.909 7.204
F -1.071 4.203 15.769
F 3.612 1.774 0.160
F 1.379 3.338 8.725
F 3.543 1.669 3.026
F 1.310 3.443 11.591
CELL_PARAMETERS angstrom
4.686 0.000 0.000
0.000 5.112 0.000
-4.466 0.000 17.130
! theoretical density: 3.7 Mg/m³

=====

*ii*
! LiFe2OF5 | the Materials Project database | PBE with a Hubbard U | optimized geometry; values from VASP
&SYSTEM
  ibrav = 0, nat = 27, ntyp = 4
/
ATOMIC_SPECIES
Li 6.94 Li.upf
Fe 55.84 Fe.upf
O 16.00 O.upf
F 19.00 F.upf
ATOMIC_POSITIONS angstrom
Li 0.000 0.000 0.000
Li 0.250 8.704 5.029
Li 2.425 4.376 2.505
Fe 0.229 5.652 4.977
Fe 0.227 5.639 0.224
Fe 0.145 1.550 2.592
Fe 2.519 11.614 5.246
Fe 2.428 7.253 7.497
Fe 2.424 7.493 2.608
O 1.207 4.321 5.837
O 1.332 8.802 3.327
O 1.349 4.289 0.810
F 1.273 7.213 0.931
F 1.146 1.507 0.838
F 1.309 7.172 5.833
F 1.378 10.140 5.993
F 1.380 5.889 3.355
F 1.319 2.931 3.433
F 3.491 4.322 4.236
F 3.529 5.910 1.743
F 3.490 2.843 1.630
F 3.614 5.851 6.632
F 3.688 8.785 1.730
F 3.768 11.452 6.804
F 3.749 10.281 4.236
F 3.693 7.196 4.169
F 3.739 8.655 6.759
CELL_PARAMETERS angstrom
4.572 0.000 0.000
0.205 8.671 0.000
0.120 4.323 7.543
! theoretical density: 3.8 Mg/m³

=====

Which structure is the most stable? The one labeled *ii*.

=====

*i*
! MgVCr2Fe3P6O24 | the Materials Project database | PBE with a Hubbard U | optimized geometry; values from VASP
&SYSTEM
  ibrav = 0, nat = 37, ntyp = 6
/
ATOMIC_SPECIES
Mg 24.30 Mg.upf
V 50.94 V.upf
Cr 52.00 Cr.upf
Fe 55.84 Fe.upf
P 30.97 P.upf
O 16.00 O.upf
ATOMIC_POSITIONS angstrom
Mg 0.000 0.000 0.000
V 6.562 8.668 1.476
Cr 4.214 8.613 3.243
Cr 8.622 4.309 3.075
Fe 2.532 4.355 1.212
Fe 6.275 4.316 4.694
Fe 10.348 8.634 4.980
P 7.354 9.893 4.393
P 5.552 5.602 1.787
P 8.579 6.096 6.131
P 8.522 2.610 0.125
P 11.478 3.010 4.401
P 9.877 7.330 1.922
O 2.979 10.139 4.168
O 2.192 7.880 3.043
O 5.180 5.937 5.633
O 1.841 7.787 0.566
O 4.343 3.481 4.340
O 4.162 4.999 2.033
O 6.784 9.640 5.798
O 3.178 2.691 0.472
O 6.265 9.359 3.384
O 5.441 7.127 2.179
O 4.745 0.871 1.036
O 7.599 11.422 4.083
O 6.633 4.932 2.712
O 8.114 5.232 4.897
O 6.007 5.451 0.348
O 8.692 9.206 4.185
O 9.736 6.945 5.654
O 7.543 1.621 0.818
O 8.401 7.839 1.916
O 11.120 12.131 5.805
O 10.563 3.699 3.340
O 9.180 3.453 1.279
O 9.778 5.767 2.085
O 12.195 7.841 5.351
CELL_PARAMETERS angstrom
8.602 0.000 0.000
0.126 8.661 0.000
4.257 4.245 6.240
! theoretical density: 3.3 Mg/m³

=====

*ii*
! MgVCr2Fe3P6O24 | the Materials Project database | PBE with a Hubbard U | optimized geometry; values from VASP
&SYSTEM
  ibrav = 0, nat = 37, ntyp = 6
/
ATOMIC_SPECIES
Mg 24.30 Mg.upf
V 50.94 V.upf
Cr 52.00 Cr.upf
Fe 55.84 Fe.upf
P 30.97 P.upf
O 16.00 O.upf
ATOMIC_POSITIONS angstrom
Mg 0.000 0.000 0.000
V 4.177 2.618 3.459
Cr -1.942 1.156 4.475
Cr -1.935 6.177 0.956
Fe 0.448 -0.250 5.497
Fe 0.596 4.691 1.988
Fe 2.494 -1.389 6.326
P -5.017 5.842 2.729
P -2.054 2.780 1.225
P -3.113 3.816 6.334
P 2.347 2.164 0.678
P 1.144 2.886 4.807
P 3.805 -0.619 4.176
O -1.107 1.606 0.875
O -4.500 4.498 3.326
O -2.720 2.441 2.584
O -4.001 6.293 1.658
O -0.782 -0.614 3.896
O -1.372 4.158 1.367
O -3.166 2.831 5.121
O 1.839 0.704 0.593
O 0.109 5.937 0.240
O 1.234 3.150 1.019
O -1.165 -0.048 6.561
O -3.661 5.227 5.924
O 0.170 1.643 4.867
O -0.505 6.171 2.831
O 2.305 -0.324 4.534
O 0.589 3.804 3.725
O -1.632 4.069 6.700
O 3.464 2.168 1.767
O 2.248 5.698 2.145
O 5.613 2.856 0.025
O 2.596 2.402 4.428
O 4.350 -1.402 5.392
O 1.282 3.508 6.189
O 4.657 0.690 4.030
CELL_PARAMETERS angstrom
8.663 0.000 0.000
-4.315 7.512 0.000
-4.068 -2.656 7.264
! theoretical density: 3.2 Mg/m³

=====

Which structure is the most stable? The one labeled *i*.

=====

*i*
! MgVFeP4O14 | the Materials Project database | PBE with a Hubbard U | optimized geometry; values from VASP
&SYSTEM
  ibrav = 0, nat = 21, ntyp = 5
/
ATOMIC_SPECIES
Mg 24.30 Mg.upf
V 50.94 V.upf
Fe 55.84 Fe.upf
P 30.97 P.upf
O 16.00 O.upf
ATOMIC_POSITIONS angstrom
Mg 0.000 0.000 0.000
V -0.194 2.978 7.325
Fe 0.923 5.831 3.331
P -1.494 4.393 1.673
P 0.584 0.600 5.094
P 2.492 1.686 0.924
P 2.277 4.432 5.917
O -1.004 4.540 0.212
O -0.405 4.406 2.713
O 0.696 1.850 5.931
O 1.114 1.782 0.245
O 1.929 0.052 4.671
O 2.476 0.503 1.853
O 1.259 4.296 7.072
O 1.711 4.446 4.517
O 2.749 2.982 1.808
O 3.599 1.494 8.230
O 2.409 5.466 1.777
O 3.485 3.508 6.021
O 4.544 0.644 4.009
O 2.802 5.967 6.275
CELL_PARAMETERS angstrom
5.017 0.000 0.000
-2.258 6.468 0.000
-0.044 -0.077 8.353
! theoretical density: 2.9 Mg/m³

=====

*ii*
! MgVFeP4O14 | the Materials Project database | PBE with a Hubbard U | optimized geometry; values from VASP
&SYSTEM
  ibrav = 0, nat = 21, ntyp = 5
/
ATOMIC_SPECIES
Mg 24.30 Mg.upf
V 50.94 V.upf
Fe 55.84 Fe.upf
P 30.97 P.upf
O 16.00 O.upf
ATOMIC_POSITIONS angstrom
Mg 0.000 0.000 0.000
V 2.157 1.509 1.641
Fe 3.257 4.400 5.469
P -0.409 3.010 0.011
P 0.757 2.926 4.088
P 0.680 5.599 7.632
P 4.690 0.287 3.385
O 0.507 0.203 2.083
O -0.451 3.847 4.193
O 0.290 1.388 4.355
O -0.572 5.928 6.824
O 0.690 1.904 0.053
O 0.349 4.391 0.424
O 1.337 2.955 2.679
O 1.804 3.166 5.172
O 3.015 0.037 0.423
O 3.261 0.740 3.076
O 2.013 5.345 6.935
O 3.577 2.800 1.059
O 2.742 5.797 4.205
O 4.090 3.135 6.766
CELL_PARAMETERS angstrom
5.064 0.000 0.000
-1.955 6.777 0.000
-0.025 -0.037 8.159
! theoretical density: 2.8 Mg/m³

=====

Which structure is the most stable? The one labeled *i*.

=====

*i*
! MgTi2Mn2O6 | the Materials Project database | PBE with a Hubbard U | optimized geometry; values from VASP
&SYSTEM
  ibrav = 0, nat = 11, ntyp = 4
/
ATOMIC_SPECIES
Mg 24.30 Mg.upf
Ti 47.87 Ti.upf
Mn 54.94 Mn.upf
O 16.00 O.upf
ATOMIC_POSITIONS angstrom
Mg 0.000 0.000 0.000
Ti 2.623 1.516 0.226
Ti 5.246 3.035 2.391
Mn 5.245 0.009 2.573
Mn 7.868 1.520 4.491
O 1.794 -0.050 1.164
O 3.595 -0.233 3.856
O 5.865 1.555 3.858
O 4.396 1.584 1.162
O 6.924 3.018 1.164
O 8.899 3.239 3.855
CELL_PARAMETERS angstrom
5.245 0.000 0.000
2.623 4.545 0.000
2.621 -1.510 5.091
! theoretical density: 4.5 Mg/m³

=====

*ii*
! MgTi2Mn2O6 | the Materials Project database | PBE with a Hubbard U | optimized geometry; values from VASP
&SYSTEM
  ibrav = 0, nat = 11, ntyp = 4
/
ATOMIC_SPECIES
Mg 24.30 Mg.upf
Ti 47.87 Ti.upf
Mn 54.94 Mn.upf
O 16.00 O.upf
ATOMIC_POSITIONS angstrom
Mg 0.000 0.000 0.000
Ti 0.090 4.009 4.829
Ti 1.516 -0.723 2.581
Mn 0.002 2.092 2.136
Mn 1.604 1.194 5.274
O -0.015 4.104 1.490
O 0.005 0.255 3.713
O 0.080 2.421 6.155
O 1.526 0.865 1.255
O 1.601 3.031 3.697
O 1.621 -0.818 5.920
CELL_PARAMETERS angstrom
3.050 0.000 0.000
-0.030 5.565 0.000
-1.415 -2.279 7.410
! theoretical density: 4.3 Mg/m³

=====

Which structure is the most stable? The one labeled *ii*.